Ba2CeBiO6 after structural relaxation. Source: Materials Project, functional PBE.

ΔH_f (0 K): -2.887 eV/atom
DFT total energy: -0.5005 Ry per atom
Crystal system: cubic
Space group: Pn-3

```
Ba2CeBiO6
1.0
8.881 0.000 0.000
0.000 8.881 0.000
0.000 0.000 8.881
Ba Ce Bi O
8 4 4 24
Direct
0.250 0.250 0.250
0.250 0.250 0.750
0.250 0.750 0.250
0.250 0.750 0.750
0.750 0.250 0.250
0.750 0.250 0.750
0.750 0.750 0.250
0.750 0.750 0.750
0.000 0.000 0.000
0.000 0.500 0.500
0.500 0.000 0.500
0.500 0.500 0.000
0.000 0.000 0.500
0.000 0.500 0.000
0.500 0.000 0.000
0.500 0.500 0.500
0.025 0.528 0.749
0.025 0.972 0.751
0.028 0.249 0.975
0.028 0.251 0.525
0.249 0.525 0.472
0.249 0.975 0.028
0.251 0.525 0.028
0.251 0.975 0.472
0.472 0.249 0.525
0.472 0.251 0.975
0.475 0.528 0.751
0.475 0.972 0.749
0.525 0.028 0.251
0.525 0.472 0.249
0.528 0.749 0.025
0.528 0.751 0.475
0.749 0.025 0.528
0.749 0.475 0.972
0.751 0.025 0.972
0.751 0.475 0.528
0.972 0.749 0.475
0.972 0.751 0.025
0.975 0.028 0.249
0.975 0.472 0.251
```

=====

ZnP3NO9 after structural relaxation. Source: Materials Project, functional PBE.

ΔH_f (0 K): -1.796 eV/atom
DFT total energy: -0.4689 Ry per atom
Crystal system: hexagonal
Space group: P-6c2

```
ZnP3NO9
1.0
6.656 0.000 0.000
-3.328 5.764 0.000
0.000 0.000 9.932
Zn P N O
2 6 2 18
Direct
0.000 0.000 0.000
0.000 0.000 0.500
0.384 0.106 0.250
0.384 0.278 0.750
0.722 0.106 0.750
0.722 0.616 0.250
0.894 0.278 0.250
0.894 0.616 0.750
0.333 0.667 0.000
0.333 0.667 0.500
0.259 0.002 0.120
0.259 0.002 0.380
0.259 0.257 0.620
0.259 0.257 0.880
0.475 0.094 0.750
0.475 0.381 0.250
0.619 0.094 0.250
0.619 0.525 0.750
0.743 0.002 0.620
0.743 0.002 0.880
0.743 0.741 0.120
0.743 0.741 0.380
0.906 0.381 0.750
0.906 0.525 0.250
0.998 0.257 0.120
0.998 0.257 0.380
0.998 0.741 0.620
0.998 0.741 0.880
```

=====

KMg7 after structural relaxation. Source: Materials Project, functional PBE.

ΔH_f (0 K): 0.175 eV/atom
DFT total energy: -0.1003 Ry per atom
Crystal system: hexagonal
Space group: P-6m2

```
KMg7
1.0
6.763 0.000 0.000
-3.382 5.857 0.000
0.000 0.000 5.395
K Mg
1 7
Direct
0.000 0.000 0.000
0.004 0.502 0.000
0.174 0.348 0.500
0.174 0.826 0.500
0.498 0.502 0.000
0.498 0.996 0.000
0.652 0.826 0.500
0.667 0.333 0.500
```

=====

Ba6SrI14 after structural relaxation. Source: Materials Project, functional PBE.

ΔH_f (0 K): -1.956 eV/atom
DFT total energy: -0.2461 Ry per atom
Crystal system: orthorhombic
Space group: Cmce

```
Ba6SrI14
1.0
12.063 -10.297 0.000
12.063 10.297 0.000
0.000 0.000 8.835
Ba Sr I
12 2 28
Direct
0.052 0.249 0.828
0.198 0.802 0.755
0.249 0.052 0.172
0.251 0.448 0.672
0.302 0.698 0.255
0.448 0.251 0.328
0.552 0.749 0.672
0.698 0.302 0.745
0.749 0.552 0.328
0.751 0.948 0.828
0.802 0.198 0.245
0.948 0.751 0.172
0.000 0.000 0.500
0.500 0.500 0.000
0.033 0.156 0.267
0.046 0.454 0.750
0.122 0.878 0.273
0.142 0.657 0.010
0.156 0.033 0.733
0.157 0.642 0.510
0.248 0.248 0.000
0.252 0.252 0.500
0.343 0.858 0.010
0.344 0.467 0.233
0.358 0.843 0.510
0.378 0.622 0.773
0.454 0.046 0.250
0.467 0.344 0.767
0.533 0.656 0.233
0.546 0.954 0.750
0.622 0.378 0.227
0.642 0.157 0.490
0.656 0.533 0.767
0.657 0.142 0.990
0.748 0.748 0.500
0.752 0.752 0.000
0.843 0.358 0.490
0.844 0.967 0.267
0.858 0.343 0.990
0.878 0.122 0.727
0.954 0.546 0.250
0.967 0.844 0.733
```

=====

LiCuP2O6 after structural relaxation. Source: Materials Project, functional PBE.

ΔH_f (0 K): -2.313 eV/atom
DFT total energy: -0.4817 Ry per atom
Crystal system: monoclinic
Space group: C2/c

```
LiCuP2O6
1.0
5.276 -5.441 0.000
5.276 5.441 0.000
-1.837 0.000 4.419
Li Cu P O
2 2 4 12
Direct
0.228 0.772 0.750
0.772 0.228 0.250
0.099 0.901 0.250
0.901 0.099 0.750
0.201 0.371 0.263
0.371 0.201 0.763
0.629 0.799 0.237
0.799 0.629 0.737
0.025 0.237 0.150
0.187 0.567 0.401
0.237 0.025 0.650
0.292 0.356 0.991
0.356 0.292 0.491
0.433 0.813 0.099
0.567 0.187 0.901
0.644 0.708 0.509
0.708 0.644 0.009
0.763 0.975 0.350
0.813 0.433 0.599
0.975 0.763 0.850
```

=====

Sr2DyBiO6 after structural relaxation. Source: Materials Project, functional PBE.

ΔH_f (0 K): -2.760 eV/atom
DFT total energy: -0.4780 Ry per atom
Crystal system: cubic
Space group: Fm-3m

```
Sr2DyBiO6
1.0
0.000 4.297 4.297
4.297 0.000 4.297
4.297 4.297 0.000
Sr Dy Bi O
2 1 1 6
Direct
0.250 0.250 0.250
0.750 0.750 0.750
0.000 0.000 0.000
0.500 0.500 0.500
0.255 0.255 0.745
0.255 0.745 0.255
0.255 0.745 0.745
0.745 0.255 0.255
0.745 0.255 0.745
0.745 0.745 0.255
```